1.
This record from Materials Project describes a relaxed structure of Ce2SeN2. The functional is GGA-PBE.

Structure (extended XYZ):
```
5
Lattice="3.938 0.000 0.000 -1.969 3.411 0.000 0.000 0.000 7.010" Properties=species:S:1:pos:R:3 pbc="T T T"
Ce 0.000 2.274 2.081
Ce 1.969 1.137 4.929
Se 0.000 0.000 0.000
N 0.000 2.274 4.381
N 1.969 1.137 2.630
```

Calculated values
* formation enthalpy at 0 K: -1.815 eV/atom
* calculated total energy: -8.08 eV/atom

***

2.
This record from Materials Project describes a relaxed structure of LuZr3F15. The functional is GGA-PBE.

Structure (extended XYZ):
```
76
Lattice="8.142 0.000 0.000 -1.438 8.019 0.000 -2.878 -3.444 15.655" Properties=species:S:1:pos:R:3 pbc="T T T"
Lu 0.620 2.156 1.968
Lu -0.835 4.560 9.222
Lu 4.661 0.015 6.433
Lu 3.206 2.419 13.687
Zr -0.830 0.429 9.768
Zr 0.588 6.295 1.368
Zr 0.594 0.714 5.866
Zr -0.843 -1.008 13.707
Zr -0.861 3.124 13.117
Zr 0.585 4.857 5.304
Zr 3.241 -0.281 10.351
Zr 4.687 1.452 2.539
Zr 4.669 5.584 1.949
Zr 3.232 3.862 9.790
Zr 3.238 -1.719 14.287
Zr 4.656 4.146 5.887
F -2.899 4.012 10.017
F -1.455 5.731 2.205
F -2.198 4.352 7.508
F -3.583 2.637 15.412
F -1.502 4.373 5.096
F -2.867 2.642 12.921
F -0.551 -1.567 9.277
F 0.920 0.034 1.434
F -0.948 2.368 9.024
F 0.483 4.226 1.193
F -0.675 6.695 5.652
F -2.105 4.985 13.519
F 0.804 0.917 3.863
F -0.632 -0.784 11.677
F -0.850 1.751 11.458
F 0.607 3.545 3.688
F -1.052 1.011 13.930
F 0.391 2.741 6.098
F 0.437 0.460 7.897
F 1.880 2.203 0.049
F 0.694 6.048 3.488
F -0.718 4.280 11.418
F 0.315 4.913 7.358
F -1.128 3.190 15.247
F 1.248 0.536 10.292
F 2.770 2.236 2.490
F 3.382 -0.156 1.919
F 1.957 -1.826 9.843
F 2.638 5.405 1.764
F 1.224 3.668 9.583
F 2.602 0.908 6.072
F 1.188 -0.830 13.891
F 1.869 6.402 5.813
F 0.444 4.732 13.736
F 1.056 2.339 13.165
F 2.578 4.039 5.363
F 4.954 1.386 0.409
F 3.511 -0.337 8.297
F 4.544 0.296 4.238
F 3.132 -1.472 12.167
F 1.946 2.373 15.607
F 3.389 4.116 7.758
F 3.435 1.835 9.557
F 4.877 3.564 1.725
F 3.219 1.031 11.968
F 4.676 2.824 4.198
F 4.458 5.359 3.978
F 3.022 3.659 11.792
F 5.931 -0.410 2.137
F 4.501 -2.119 10.003
F 3.343 0.349 14.462
F 4.774 2.208 6.631
F 2.906 4.542 14.221
F 4.377 6.143 6.378
F 6.693 1.934 2.734
F 5.328 0.203 10.559
F 7.409 1.939 0.243
F 6.024 0.224 8.147
F 5.281 -1.155 13.450
F 6.725 0.564 5.638
```

Calculated values
* formation enthalpy at 0 K: -4.119 eV/atom
* size of the total moment: 0.000 μB per formula unit
* calculated total energy: -6.85 eV/atom

***

3.
This record from Materials Project describes a relaxed structure of SiO2. The functional is GGA-PBE.

Structure (extended XYZ):
```
162
Lattice="17.177 0.000 0.000 -8.589 14.876 0.000 0.000 0.000 12.881" Properties=species:S:1:pos:R:3 pbc="T T T"
Si -2.586 4.515 2.512
Si -2.586 4.515 10.369
Si -1.466 2.819 4.889
Si -1.466 2.819 7.992
Si -1.406 2.895 0.000
Si -1.780 7.390 1.590
Si -1.780 7.390 11.291
Si -3.076 10.176 1.589
Si -3.076 10.176 11.292
Si -5.379 14.646 0.000
Si -5.415 14.736 4.889
Si -5.415 14.736 7.992
Si 1.708 2.678 4.889
Si 1.708 2.678 7.992
Si 1.804 2.665 0.000
Si -3.386 14.858 2.512
Si -3.386 14.858 10.369
Si 2.617 4.497 2.512
Si 2.617 4.497 10.369
Si 1.314 7.124 1.589
Si 1.314 7.124 11.292
Si -1.299 12.723 1.590
Si -1.299 12.723 11.291
Si 6.826 2.424 1.589
Si 6.826 2.424 11.292
Si 5.509 5.237 1.590
Si 5.509 5.237 11.291
Si 3.079 9.639 1.590
Si 3.079 9.639 11.291
Si 1.763 12.452 1.589
Si 1.763 12.452 11.292
Si 9.887 2.153 1.590
Si 9.887 2.153 11.291
Si 7.275 7.752 1.589
Si 7.275 7.752 11.292
Si 5.972 10.379 2.512
Si 5.972 10.379 10.369
Si 11.974 0.018 2.512
Si 11.974 0.018 10.369
Si 6.785 12.211 0.000
Si 6.880 12.197 4.889
Si 6.880 12.197 7.992
Si 14.003 0.140 4.889
Si 14.003 0.140 7.992
Si 13.967 0.230 0.000
Si 11.665 4.699 1.589
Si 11.665 4.699 11.292
Si 10.369 7.486 1.590
Si 10.369 7.486 11.291
Si 9.995 11.981 0.000
Si 10.054 12.057 4.889
Si 10.054 12.057 7.992
Si 11.175 10.361 2.512
Si 11.175 10.361 10.369
O -1.687 3.254 6.441
O -2.072 3.991 3.957
O -2.072 3.991 8.924
O -1.786 3.742 1.330
O -1.786 3.742 11.551
O -2.311 6.112 2.428
O -2.311 6.112 10.453
O -6.416 13.405 0.000
O -6.378 13.466 4.573
O -6.378 13.466 8.308
O 0.115 2.619 4.573
O 0.115 2.619 8.308
O 0.187 2.617 0.000
O -4.400 10.644 2.406
O -4.400 10.644 10.475
O -2.026 7.121 0.000
O -2.611 8.698 2.078
O -2.611 8.698 10.803
O -3.440 10.152 0.000
O 2.360 1.146 0.000
O 2.326 1.210 4.573
O 2.326 1.210 8.308
O -4.928 14.710 6.441
O 1.974 3.088 6.441
O -4.455 14.552 1.330
O -4.455 14.552 11.551
O -0.198 7.644 1.874
O -0.198 7.644 11.007
O 2.348 3.418 1.330
O 2.348 3.418 11.551
O -4.096 14.675 3.957
O -4.096 14.675 8.924
O 2.420 3.790 3.957
O 2.420 3.790 8.924
O -1.869 11.225 1.874
O -1.869 11.225 11.007
O 1.571 5.743 2.406
O 1.571 5.743 10.475
O 1.517 6.821 0.000
O -2.141 13.821 2.428
O -2.141 13.821 10.453
O -1.409 13.069 0.000
O 5.759 1.511 2.406
O 5.759 1.511 10.475
O 4.138 5.057 2.428
O 4.138 5.057 10.453
O 2.361 8.266 2.078
O 2.361 8.266 10.803
O 0.249 12.788 2.078
O 0.249 12.788 10.803
O 6.666 2.097 0.000
O 5.155 5.315 0.000
O 2.068 10.882 1.874
O 2.068 10.882 11.007
O 6.521 3.994 1.874
O 6.521 3.994 11.007
O 3.434 9.561 0.000
O 1.923 12.779 0.000
O 8.339 2.088 2.078
O 8.339 2.088 10.803
O 6.227 6.610 2.078
O 6.227 6.610 10.803
O 4.451 9.819 2.428
O 4.451 9.819 10.453
O 2.830 13.365 2.406
O 2.830 13.365 10.475
O 9.997 1.807 0.000
O 10.729 1.055 2.428
O 10.729 1.055 10.453
O 7.072 8.055 0.000
O 7.018 9.133 2.406
O 7.018 9.133 10.475
O 10.458 3.650 1.874
O 10.458 3.650 11.007
O 6.168 11.085 3.957
O 6.168 11.085 8.924
O 12.684 0.201 3.957
O 12.684 0.201 8.924
O 6.241 11.458 1.330
O 6.241 11.458 11.551
O 8.787 7.232 1.874
O 8.787 7.232 11.007
O 13.044 0.324 1.330
O 13.044 0.324 11.551
O 6.614 11.788 6.441
O 13.516 0.166 6.441
O 6.263 13.666 4.573
O 6.263 13.666 8.308
O 6.229 13.730 0.000
O 12.028 4.724 0.000
O 11.199 6.178 2.078
O 11.199 6.178 10.803
O 10.614 7.754 0.000
O 12.989 4.232 2.406
O 12.989 4.232 10.475
O 8.401 12.259 0.000
O 8.473 12.257 4.573
O 8.473 12.257 8.308
O 14.967 1.409 4.573
O 14.967 1.409 8.308
O 15.005 1.471 0.000
O 10.899 8.764 2.428
O 10.899 8.764 10.453
O 10.375 11.134 1.330
O 10.375 11.134 11.551
O 10.661 10.885 3.957
O 10.661 10.885 8.924
O 10.275 11.622 6.441
```

Calculated values
* formation enthalpy at 0 K: -3.256 eV/atom
* size of the total moment: 0.000 μB per formula unit
* calculated total energy: -7.90 eV/atom

***

4.
This record from Materials Project describes a relaxed structure of LiLaMg6. The functional is GGA-PBE.

Structure (extended XYZ):
```
16
Lattice="-0.315 3.180 -4.106 2.554 -4.801 -3.914 -10.752 -3.918 -2.210" Properties=species:S:1:pos:R:3 pbc="T T T"
Mg -9.017 -3.286 -1.853
Mg -4.355 -5.819 -4.174
Mg -3.571 -1.301 -0.734
Mg 1.079 -3.971 -3.159
Mg -2.772 -3.616 -5.885
Mg -8.108 -5.650 -7.051
Mg -4.009 -1.290 -3.989
Mg -0.256 -1.460 -1.111
Mg -9.424 -3.175 -5.033
Mg -5.574 -3.530 -2.306
Mg -2.364 -3.727 -2.706
Mg -7.670 -5.660 -3.796
Li -1.914 0.950 -2.414
Li -6.013 -3.409 -5.476
La -0.665 -1.460 -4.377
La -7.318 -1.019 -3.525
```

Calculated values
* formation enthalpy at 0 K: 0.035 eV/atom
* distance to the lowest polymorph of the same formula: 0.0096 eV/atom
* size of the total moment: 0.004 μB per formula unit
* calculated total energy: -2.02 eV/atom